Below is a geometry-optimized LuTh structure, with properties calculated at the r²SCAN level.

a = 6.013 Å, b = 6.013 Å, c = 6.013 Å
α = 34.18°, β = 34.18°, γ = 34.18°
Element x y z (fractional)
1 Lu 0.000 0.000 0.000
2 Th 0.500 0.500 0.500

total DFT energy (no corrections) = -55.7382 eV per atom
calculated volume = 61.2 Å³/cell
total magnetization = 0.001 μB per formula unit



Below is a geometry-optimized Lu3Th structure, with properties calculated at the r²SCAN level.

a = 7.077 Å, b = 7.077 Å, c = 5.639 Å
α = 90.00°, β = 90.00°, γ = 120.00°
Element x y z (fractional)
1 Lu 0.166 0.332 0.250
2 Lu 0.166 0.834 0.250
3 Lu 0.332 0.166 0.750
4 Lu 0.668 0.834 0.250
5 Lu 0.834 0.166 0.750
6 Lu 0.834 0.668 0.750
7 Th 0.333 0.667 0.750
8 Th 0.667 0.333 0.250

relative energy among the computed polymorphs = 0.0000 eV/atom
calculated volume = 244.6 Å³/cell
total magnetization = 1.366 μB per formula unit



Below is a geometry-optimized LuTh3 structure, with properties calculated at the r²SCAN level.

a = 5.029 Å, b = 5.029 Å, c = 5.029 Å
α = 90.00°, β = 90.00°, γ = 90.00°
Element x y z (fractional)
1 Lu 0.000 0.000 0.000
2 Th 0.000 0.500 0.500
3 Th 0.500 0.000 0.500
4 Th 0.500 0.500 0.000

total DFT energy (no corrections) = -64.5870 eV per atom
calculated volume = 127.2 Å³/cell
total magnetization = 0.000 μB per formula unit



Below is a geometry-optimized Lu3Th structure, with properties calculated at the r²SCAN level.

a = 5.991 Å, b = 5.991 Å, c = 5.991 Å
α = 130.61°, β = 130.61°, γ = 72.43°
Element x y z (fractional)
1 Lu 0.000 0.000 0.000
2 Lu 0.250 0.750 0.500
3 Lu 0.750 0.250 0.500
4 Th 0.500 0.500 0.000

relative energy among the computed polymorphs = 0.0085 eV/atom
calculated volume = 121.1 Å³/cell
total magnetization = 0.000 μB per formula unit



Below is a geometry-optimized LuTl3 structure, with properties calculated at the r²SCAN level.

a = 4.688 Å, b = 4.688 Å, c = 4.688 Å
α = 90.00°, β = 90.00°, γ = 90.00°
Element x y z (fractional)
1 Lu 0.000 0.000 0.000
2 Tl 0.000 0.500 0.500
3 Tl 0.500 0.000 0.500
4 Tl 0.500 0.500 0.000

total DFT energy (no corrections) = -49.5888 eV per atom
calculated volume = 103.0 Å³/cell
total magnetization = 0.000 μB per formula unit



Below is a geometry-optimized LuTl structure, with properties calculated at the r²SCAN level.

a = 3.595 Å, b = 3.595 Å, c = 3.942 Å
α = 90.00°, β = 90.00°, γ = 90.00°
Element x y z (fractional)
1 Lu 0.000 0.000 0.000
2 Tl 0.500 0.500 0.500

total DFT energy (no corrections) = -45.9725 eV per atom
calculated volume = 50.9 Å³/cell
total magnetization = 0.001 μB per formula unit